This record from the Materials Project describes a relaxed structure of Ba3Cr2O8. The functional is PBE+U.

Calculated values
**Distance to the lowest polymorph of the same formula**: 1 meV/atom

abc: 5.8449 5.8449 7.9630
angles: 111.34 111.34 60.00
Fractional coordinates of all 13 atoms:
Ba1 0.0000 0.0000 0.0000
Ba2 0.2010 0.2108 0.6188
Ba3 0.7892 0.7990 0.3812
Cr1 0.4037 0.4102 0.2209
Cr2 0.5898 0.5963 0.7791
O1 0.2394 0.7318 0.6999
O2 0.2682 0.7606 0.3001
O3 0.2734 0.2746 0.3042
O4 0.3179 0.3414 0.9844
O5 0.6586 0.6821 0.0156
O6 0.7246 0.2481 0.6948
O7 0.7254 0.7266 0.6958
O8 0.7519 0.2754 0.3052

***

This record from the Materials Project describes a relaxed structure of CoPO4. The functional is PBE+U.

abc: 10.4500 5.1095 6.7168
angles: 90.00 90.00 90.00
Fractional coordinates of all 24 atoms:
Co1 0.1576 0.1851 0.0000
Co2 0.3424 0.6851 0.5000
Co3 0.6576 0.3149 0.0000
Co4 0.8424 0.8149 0.5000
P1 0.0950 0.6864 0.2540
P2 0.4050 0.1864 0.7540
P3 0.5950 0.8136 0.2540
P4 0.9050 0.3136 0.7540
O1 0.0477 0.2517 0.7899
O2 0.1113 0.3890 0.2178
O3 0.1422 0.8334 0.0665
O4 0.1728 0.7632 0.4418
O5 0.3272 0.2632 0.9418
O6 0.3578 0.3334 0.5665
O7 0.3887 0.8890 0.7178
O8 0.4523 0.7517 0.2899
O9 0.5477 0.2483 0.7899
O10 0.6113 0.1110 0.2178
O11 0.6422 0.6666 0.0665
O12 0.6728 0.7368 0.4418
O13 0.8272 0.2368 0.9418
O14 0.8578 0.1666 0.5665
O15 0.8887 0.6110 0.7178
O16 0.9523 0.7483 0.2899

***

This record from the Materials Project describes a relaxed structure of SrDy2Fe2O7. The functional is PBE+U.

Calculated values
**Magnetic moment**: 0.83 μB/atom

abc: 10.4382 10.4382 10.4382
angles: 159.03 159.03 29.82
Fractional coordinates of all 12 atoms:
Sr1 0.0000 0.0000 0.0000
Dy1 0.6335 0.6335 0.0000
Dy2 0.8212 0.8212 0.0000
Fe1 0.2131 0.2131 0.0000
Fe2 0.4125 0.4125 0.0000
O1 0.1152 0.1152 0.0000
O2 0.2088 0.7088 0.5000
O3 0.3088 0.3088 0.0000
O4 0.4005 0.9005 0.5000
O5 0.5188 0.5188 0.0000
O6 0.7088 0.2088 0.5000
O7 0.9005 0.4005 0.5000

***

This record from the Materials Project describes a relaxed structure of Li9Mn2Co5O16. The functional is PBE+U.

Calculated values
**Distance to the lowest polymorph of the same formula**: 32 meV/atom
**Magnetic moment**: 0.31 μB/atom

abc: 9.8466 2.9221 10.2420
angles: 90.00 99.54 90.00
Fractional coordinates of all 32 atoms:
Li1 0.0000 0.0000 0.0000
Li2 0.0008 0.0000 0.4842
Li3 0.0090 0.5000 0.2403
Li4 0.2423 0.0000 0.3651
Li5 0.4914 0.5000 0.4758
Li6 0.4973 0.5000 0.9952
Li7 0.4997 0.0000 0.2462
Li8 0.5029 0.0000 0.7359
Li9 0.9865 0.5000 0.7384
Mn1 0.2450 0.0000 0.8648
Mn2 0.2446 0.5000 0.6065
Co1 0.2561 0.5000 0.1408
Co2 0.7446 0.0000 0.6140
Co3 0.7463 0.5000 0.8651
Co4 0.7492 0.0000 0.1151
Co5 0.7494 0.5000 0.3650
O1 0.1289 0.0000 0.1719
O2 0.1319 0.5000 0.4485
O3 0.1329 0.5000 0.9105
O4 0.1401 0.0000 0.6790
O5 0.3529 0.0000 0.0342
O6 0.3525 0.5000 0.8007
O7 0.3582 0.0000 0.5636
O8 0.3746 0.5000 0.2929
O9 0.6293 0.5000 0.6758
O10 0.6313 0.0000 0.9251
O11 0.6335 0.0000 0.4266
O12 0.6352 0.5000 0.1754
O13 0.8600 0.5000 0.5556
O14 0.8607 0.0000 0.8028
O15 0.8618 0.5000 0.0516
O16 0.8627 0.0000 0.3043

***

This record from the Materials Project describes a relaxed structure of LiCoS2O8. The functional is PBE+U.

Calculated values
**Distance to the lowest polymorph of the same formula**: 0 meV/atom
**Magnetic moment**: 0.06 μB/atom

abc: 8.3230 8.3493 8.9311
angles: 62.37 62.63 60.29
Fractional coordinates of all 36 atoms:
Li1 0.0000 0.0000 0.0000
Li2 0.1717 0.9259 0.3050
Li3 0.6002 0.1747 0.3051
Co1 0.1862 0.2183 0.4051
Co2 0.5042 0.5135 0.4871
Co3 0.7125 0.7115 0.8677
S1 0.1060 0.8128 0.6903
S2 0.3162 0.6066 0.1873
S3 0.3988 0.1106 0.6874
S4 0.5982 0.8948 0.1911
S5 0.8099 0.3996 0.6940
S6 0.8980 0.3204 0.1901
O1 0.0058 0.3849 0.5535
O2 0.0208 0.3506 0.2482
O3 0.0632 0.8508 0.8480
O4 0.0867 0.9954 0.5311
O5 0.1238 0.7299 0.1709
O6 0.2482 0.0687 0.8475
O7 0.3089 0.6737 0.6443
O8 0.3333 0.6471 0.3282
O9 0.3517 0.3949 0.2418
O10 0.3834 0.3151 0.6328
O11 0.3855 0.0889 0.5309
O12 0.3872 0.0186 0.2383
O13 0.4712 0.6476 0.0200
O14 0.5982 0.9784 0.6976
O15 0.6332 0.7019 0.3337
O16 0.6539 0.8649 0.0200
O17 0.6870 0.3799 0.6296
O18 0.6997 0.3393 0.3247
O19 0.7144 0.9881 0.1800
O20 0.7251 0.6002 0.7078
O21 0.8316 0.2528 0.8602
O22 0.8797 0.4646 0.0175
O23 0.9707 0.7327 0.7073
O24 0.9840 0.1220 0.1802

***

This record from the Materials Project describes a relaxed structure of NaMgNiO2. The functional is PBE+U.

Calculated values
**Distance to the lowest polymorph of the same formula**: 371 meV/atom
**Magnetic moment**: 0.20 μB/atom

abc: 3.6330 3.6330 5.9158
angles: 92.00 92.00 83.57
Fractional coordinates of all 5 atoms:
Na1 0.0000 0.0000 0.0000
Mg1 0.0000 0.0000 0.5000
Ni1 0.5000 0.5000 0.5000
O1 0.2793 0.2793 0.7200
O2 0.7207 0.7207 0.2800

***

Number 1: total energy after the MP2020 corrections -7.601 eV/atom, E_form -2629 meV per atom, calculated volume 16.44 A^3/atom. Number 2: total energy after the MP2020 corrections -7.475 eV/atom, E_form -2089 meV per atom, calculated volume 14.94 A^3/atom. Number 3: total energy after the MP2020 corrections -7.918 eV/atom, E_form -2712 meV per atom, calculated volume 12.13 A^3/atom. Number 4: total energy after the MP2020 corrections -6.526 eV/atom, E_form -1832 meV per atom, calculated volume 9.08 A^3/atom. Number 5: total energy after the MP2020 corrections -6.507 eV/atom, E_form -1767 meV per atom, calculated volume 12.66 A^3/atom. Number 6: total energy after the MP2020 corrections -4.869 eV/atom, E_form -1150 meV per atom, calculated volume 15.50 A^3/atom.